(one)
The following is a PBE-GGA calculation of SiP2O7 after structural relaxation, from Materials Project.

a b c (Å): 4.8055 12.1936 9.0537
angles (deg): 90.00 120.93 90.00
Space group P2_1/c (No. 14)
Asymmetric unit:
Si1 0.1195 0.1480 0.3459 x4
P1 0.2796 0.6994 0.5522 x4
P2 0.4025 0.0190 0.6967 x4
O1 0.0041 0.6880 0.3671 x4
O2 0.1640 0.5365 0.2371 x4
O3 0.1772 0.7351 0.1594 x4
O4 0.2421 0.1094 0.5621 x4
O5 0.3405 0.5761 0.6259 x4
O6 0.4030 0.2403 0.9279 x4
O7 0.4175 0.0620 0.3502 x4

(two)
The following is a PBE-GGA calculation of SiP2O7 after structural relaxation, from Materials Project.

## Properties
- Magnetic moment: 0.00 μB/f.u.

a b c (Å): 4.3452 7.2353 6.3556
angles (deg): 90.00 103.69 90.00
Space group P2_1/c (No. 14)
Asymmetric unit:
Si1 0.0000 0.0000 0.0000 x2
P1 0.3875 0.1115 0.6833 x4
O1 0.1502 0.5106 0.2631 x4
O2 0.2363 0.2080 0.0915 x4
O3 0.3097 0.6425 0.6396 x4
O4 0.5000 0.0000 0.5000 x2

(three)
The following is a PBE-GGA calculation of SiP2O7 after structural relaxation, from Materials Project.

## Properties
- Magnetic moment: 0.00 μB/f.u.

a b c (Å): 7.7337 7.7337 7.7337
angles (deg): 90.00 90.00 90.00
Space group Pa-3 (No. 205)
Asymmetric unit:
Si1 0.0000 0.0000 0.0000 x4
P1 0.1190 0.6190 0.8810 x8
O1 0.0000 0.0000 0.5000 x4
O2 0.0609 0.6952 0.3988 x24

Tell me which of them is the most stable. Sure, it is (one).

(one)
The following is a PBE-GGA calculation of SnP2O6 after structural relaxation, from Materials Project.

## Properties
- Magnetic moment: 0.00 μB/f.u.

a b c (Å): 11.4118 11.4431 9.7736
angles (deg): 90.00 90.00 90.00
Space group C222_1 (No. 20)
Asymmetric unit:
Sn1 0.0822 0.2287 0.0086 x8
P1 0.0000 0.4716 0.2500 x4
P2 0.1478 0.0000 0.5000 x4
P3 0.2289 0.3888 0.7619 x8
O1 0.0291 0.4065 0.1214 x8
O2 0.0823 0.1126 0.5198 x8
O3 0.1028 0.4349 0.7133 x8
O4 0.1878 0.1021 0.1415 x8
O5 0.2169 0.2702 0.8266 x8
O6 0.2370 0.0122 0.3729 x8

(two)
The following is a PBE-GGA calculation of SnP2O6 after structural relaxation, from Materials Project.

## Properties
- Magnetic moment: 0.00 μB/f.u.

a b c (Å): 7.3360 8.0294 17.5294
angles (deg): 90.00 91.25 90.00
Space group P2_1/c (No. 14)
Asymmetric unit:
Sn1 0.0200 0.1407 0.3254 x4
Sn2 0.4708 0.6273 0.1022 x4
P1 0.1363 0.1969 0.5405 x4
P2 0.2316 0.0144 0.1437 x4
P3 0.2556 0.7111 0.9103 x4
P4 0.3714 0.5135 0.3065 x4
O1 0.0727 0.0557 0.1931 x4
O2 0.0767 0.7444 0.9588 x4
O3 0.1727 0.0529 0.5946 x4
O4 0.1882 0.1788 0.4585 x4
O5 0.2198 0.5936 0.8441 x4
O6 0.2352 0.1353 0.0703 x4
O7 0.2456 0.6613 0.6132 x4
O8 0.2930 0.6026 0.3814 x4
O9 0.2984 0.5925 0.2343 x4
O10 0.3469 0.1705 0.8184 x4
O11 0.4087 0.6639 0.9650 x4
O12 0.4150 0.0646 0.1896 x4

(three)
The following is a PBE-GGA calculation of SnP2O6 after structural relaxation, from Materials Project.

## Properties
- Magnetic moment: 0.03 μB/f.u.

a b c (Å): 13.3227 9.1436 11.3413
angles (deg): 90.00 122.06 90.00
Space group C2/c (No. 15)
Asymmetric unit:
Sn1 0.0000 0.0113 0.2500 x4
Sn2 0.2500 0.2500 0.5000 x4
P1 0.0111 0.2828 0.9795 x8
P2 0.1838 0.4953 0.1893 x8
O1 0.0372 0.1559 0.9154 x8
O2 0.0375 0.2535 0.4290 x8
O3 0.0755 0.3926 0.6460 x8
O4 0.1310 0.3777 0.0625 x8
O5 0.2139 0.4273 0.3234 x8
O6 0.2179 0.0714 0.3173 x8

Tell me which of them is the most stable. Sure, it is (two).

(one)
The following is a PBE-GGA calculation of SnP2O6 after structural relaxation, from Materials Project.

a b c (Å): 7.3548 9.9715 15.1932
angles (deg): 90.00 90.00 90.00
Space group Pbca (No. 61)
Asymmetric unit:
Sn1 0.0596 0.0060 0.1958 x8
P1 0.0880 0.7010 0.0869 x8
P2 0.2005 0.7172 0.9008 x8
O1 0.0407 0.6948 0.3784 x8
O2 0.1298 0.1847 0.4220 x8
O3 0.1378 0.6528 0.5962 x8
O4 0.1499 0.6035 0.1570 x8
O5 0.1609 0.6438 0.9942 x8
O6 0.2424 0.1108 0.8361 x8

(two)
The following is a PBE-GGA calculation of SnP2O6 after structural relaxation, from Materials Project.

## Properties
- Magnetic moment: 0.00 μB/f.u.

a b c (Å): 5.2979 15.0451 8.1022
angles (deg): 90.00 109.70 90.00
Space group P2_1/c (No. 14)
Asymmetric unit:
Sn1 0.1122 0.0625 0.2686 x4
P1 0.4660 0.6564 0.7987 x4
P2 0.4826 0.1637 0.0615 x4
O1 0.2128 0.1609 0.0887 x4
O2 0.2361 0.5927 0.7348 x4
O3 0.2897 0.1327 0.5477 x4
O4 0.3413 0.5830 0.3753 x4
O5 0.3469 0.7490 0.3388 x4
O6 0.4278 0.1852 0.8599 x4

Tell me which of them is the most stable. Sure, it is (one).